First-principles (PBE) data for Sr3Ti2N4 after structural relaxation, as listed in the Materials Project database.

Values from the calculation:
**Energy above the lowest structure with this stoichiometry**: 0.000 eV per atom
**ΔH_f (0 K)**: -1.20 eV per atom
**Space-group type**: No. 52

Cell lengths 6.1099, 10.3642, 9.8048 Å; angles 90.00, 90.00, 90.00 degrees
Element x y z (fractional)
Sr: 0.6138 0.1578 0.4209
Sr: 0.8862 0.8422 0.4209
Sr: 0.6138 0.3422 0.0791
Sr: 0.8862 0.6578 0.0791
Sr: 0.3862 0.8422 0.5791
Sr: 0.1138 0.1578 0.5791
Sr: 0.3862 0.6578 0.9209
Sr: 0.1138 0.3422 0.9209
Sr: 0.7500 0.5000 0.3981
Sr: 0.7500 0.0000 0.1019
Sr: 0.2500 0.5000 0.6019
Sr: 0.2500 0.0000 0.8981
Ti: 0.7500 0.5000 0.7327
Ti: 0.7500 0.0000 0.7673
Ti: 0.2500 0.5000 0.2673
Ti: 0.2500 0.0000 0.2327
Ti: 0.6313 0.2500 0.7500
Ti: 0.8687 0.7500 0.7500
Ti: 0.3687 0.7500 0.2500
Ti: 0.1313 0.2500 0.2500
N: 0.8282 0.3485 0.6242
N: 0.6718 0.6515 0.6242
N: 0.8282 0.1515 0.8758
N: 0.6718 0.8485 0.8758
N: 0.1718 0.6515 0.3758
N: 0.3282 0.3485 0.3758
N: 0.1718 0.8485 0.1242
N: 0.3282 0.1515 0.1242
N: 0.5055 0.4170 0.8312
N: 0.9945 0.5830 0.8312
N: 0.5055 0.0830 0.6688
N: 0.9945 0.9170 0.6688
N: 0.4945 0.5830 0.1688
N: 0.0055 0.4170 0.1688
N: 0.4945 0.9170 0.3312
N: 0.0055 0.0830 0.3312


First-principles (PBE) data for SrTi7N10 after structural relaxation, as listed in the Materials Project database.

Values from the calculation:
**ΔH_f (0 K)**: -1.47 eV per atom
**Space-group type**: No. 7

Cell lengths 7.3780, 7.3924, 10.9593 Å; angles 90.00, 102.47, 90.00 degrees
Element x y z (fractional)
Sr: 0.9041 0.9966 0.6156
Sr: 0.9041 0.0034 0.1156
Ti: 0.5539 0.9838 0.8254
Ti: 0.5539 0.0162 0.3254
Ti: 0.3703 0.0174 0.0271
Ti: 0.3703 0.9826 0.5271
Ti: 0.1185 0.4034 0.0756
Ti: 0.1185 0.5966 0.5756
Ti: 0.6621 0.3722 0.9914
Ti: 0.6621 0.6278 0.4914
Ti: 0.8575 0.6304 0.8031
Ti: 0.8575 0.3696 0.3031
Ti: 0.3006 0.6138 0.8882
Ti: 0.3006 0.3862 0.3882
Ti: 0.4756 0.3829 0.6920
Ti: 0.4756 0.6171 0.1920
N: 0.7765 0.8638 0.8218
N: 0.7765 0.1362 0.3218
N: 0.5903 0.1248 0.9785
N: 0.5903 0.8752 0.4785
N: 0.3484 0.8670 0.8801
N: 0.3484 0.1330 0.3801
N: 0.1684 0.1620 0.0430
N: 0.1684 0.8380 0.5430
N: 0.2646 0.4937 0.7299
N: 0.2646 0.5063 0.2299
N: 0.4616 0.1231 0.6762
N: 0.4616 0.8769 0.1762
N: 0.8803 0.3701 0.1251
N: 0.8803 0.6299 0.6251
N: 0.0709 0.5798 0.9363
N: 0.0709 0.4202 0.4363
N: 0.6745 0.4533 0.8268
N: 0.6745 0.5467 0.3268
N: 0.4641 0.5057 0.0331
N: 0.4641 0.4943 0.5331


First-principles (PBE) data for Sr3Ti2N4 after structural relaxation, as listed in the Materials Project database.

Values from the calculation:
**Energy above the lowest structure with this stoichiometry**: 0.055 eV per atom
**ΔH_f (0 K)**: -1.15 eV per atom
**Space-group type**: No. 15

Cell lengths 7.3163, 8.8815, 5.7966 Å; angles 90.00, 92.35, 127.37 degrees
Element x y z (fractional)
Sr: 0.2317 0.9827 0.0478
Sr: 0.7683 0.7511 0.4522
Sr: 0.7683 0.0173 0.9522
Sr: 0.2317 0.2489 0.5478
Sr: 0.0000 0.6049 0.7500
Sr: 0.0000 0.3951 0.2500
Ti: 0.5939 0.1792 0.5834
Ti: 0.4061 0.5853 0.9166
Ti: 0.4061 0.8208 0.4166
Ti: 0.5939 0.4147 0.0834
N: 0.2685 0.9553 0.5269
N: 0.7315 0.6869 0.9731
N: 0.7315 0.0447 0.4731
N: 0.2685 0.3131 0.0269
N: 0.6620 0.2647 0.9095
N: 0.3380 0.6027 0.5905
N: 0.3380 0.7353 0.0905
N: 0.6620 0.3973 0.4095


First-principles (PBE) data for Sr7TiN6 after structural relaxation, as listed in the Materials Project database.

Values from the calculation:
**ΔH_f (0 K)**: -0.94 eV per atom
**Space-group type**: No. 60

Cell lengths 11.7751, 6.6882, 13.9223 Å; angles 90.00, 90.00, 90.00 degrees
Element x y z (fractional)
Sr: 0.0371 0.7339 0.9798
Sr: 0.4629 0.7661 0.4798
Sr: 0.5371 0.7661 0.0202
Sr: 0.9629 0.7339 0.5202
Sr: 0.9629 0.2661 0.0202
Sr: 0.5371 0.2339 0.5202
Sr: 0.4629 0.2339 0.9798
Sr: 0.0371 0.2661 0.4798
Sr: 0.2310 0.8400 0.6272
Sr: 0.2690 0.6600 0.1272
Sr: 0.7310 0.6600 0.3728
Sr: 0.7690 0.8400 0.8728
Sr: 0.7690 0.1600 0.3728
Sr: 0.7310 0.3400 0.8728
Sr: 0.2690 0.3400 0.6272
Sr: 0.2310 0.1600 0.1272
Sr: 0.2918 0.6102 0.8793
Sr: 0.2082 0.8898 0.3793
Sr: 0.7918 0.8898 0.1207
Sr: 0.7082 0.6102 0.6207
Sr: 0.7082 0.3898 0.1207
Sr: 0.7918 0.1102 0.6207
Sr: 0.2082 0.1102 0.8793
Sr: 0.2918 0.3898 0.3793
Sr: 0.0000 0.4470 0.7500
Sr: 0.5000 0.0530 0.2500
Sr: 0.0000 0.5530 0.2500
Sr: 0.5000 0.9470 0.7500
Ti: 0.0000 0.9418 0.7500
Ti: 0.5000 0.5582 0.2500
Ti: 0.0000 0.0582 0.2500
Ti: 0.5000 0.4418 0.7500
N: 0.1243 0.7665 0.7947
N: 0.3757 0.7335 0.2947
N: 0.6243 0.7335 0.2053
N: 0.8757 0.7665 0.7053
N: 0.8757 0.2335 0.2053
N: 0.6243 0.2665 0.7053
N: 0.3757 0.2665 0.7947
N: 0.1243 0.2335 0.2947
N: 0.1642 0.5912 0.5027
N: 0.3358 0.9088 0.0027
N: 0.6642 0.9088 0.4973
N: 0.8358 0.5912 0.9973
N: 0.8358 0.4088 0.4973
N: 0.6642 0.0912 0.9973
N: 0.3358 0.0912 0.5027
N: 0.1642 0.4088 0.0027
N: 0.4416 0.6138 0.6485
N: 0.0584 0.8862 0.1485
N: 0.9416 0.8862 0.3515
N: 0.5584 0.6138 0.8515
N: 0.5584 0.3862 0.3515
N: 0.9416 0.1138 0.8515
N: 0.0584 0.1138 0.6485
N: 0.4416 0.3862 0.1485


ΔH_f (0 K) of number 2 (SrTi7N10)?
-1.47 eV per atom